[1]
Li2SnP4O12 | PBE | relaxed

a = 9.8516 Å, b = 9.8516 Å, c = 4.7275 Å
α = 90.00°, β = 90.00°, γ = 90.00°
Last column: nearest neighbours and their distance in Å.
Fractional positions:
Li 0.7500 0.2500 0.5000  4 O 2.18
Li 0.2500 0.2500 0.5000  4 O 2.18
Li 0.2500 0.7500 0.5000  4 O 2.18
Li 0.7500 0.7500 0.5000  4 O 2.18
Sn 0.0000 0.0000 0.5000  8 O 2.57
Sn 0.5000 0.5000 0.5000  8 O 2.57
P 0.7893 0.5000 0.0000  4 O 1.50-1.64
P 0.0000 0.2893 0.0000  4 O 1.50-1.64
P 0.0000 0.7107 0.0000  4 O 1.50-1.64
P 0.2107 0.5000 0.0000  4 O 1.50-1.64
P 0.2893 0.0000 0.0000  4 O 1.50-1.64
P 0.5000 0.7893 0.0000  4 O 1.50-1.64
P 0.5000 0.2107 0.0000  4 O 1.50-1.64
P 0.7107 0.0000 0.0000  4 O 1.50-1.64
O 0.7844 0.0723 0.2335  1 P 1.50
O 0.7844 0.9277 0.7665  1 P 1.50
O 0.8928 0.6072 0.8466  2 P 1.64
O 0.8928 0.3928 0.1534  2 P 1.64
O 0.9277 0.2156 0.7665  1 P 1.50
O 0.9277 0.7844 0.2335  1 P 1.50
O 0.0723 0.7844 0.7665  1 P 1.50
O 0.0723 0.2156 0.2335  1 P 1.50
O 0.1072 0.3928 0.8466  2 P 1.64
O 0.1072 0.6072 0.1534  2 P 1.64
O 0.2156 0.9277 0.2335  1 P 1.50
O 0.2156 0.0723 0.7665  1 P 1.50
O 0.2844 0.4277 0.2335  1 P 1.50
O 0.2844 0.5723 0.7665  1 P 1.50
O 0.3928 0.8928 0.8466  2 P 1.64
O 0.3928 0.1072 0.1534  2 P 1.64
O 0.4277 0.2844 0.7665  1 P 1.50
O 0.4277 0.7156 0.2335  1 P 1.50
O 0.5723 0.2844 0.2335  1 P 1.50
O 0.5723 0.7156 0.7665  1 P 1.50
O 0.6072 0.1072 0.8466  2 P 1.64
O 0.6072 0.8928 0.1534  2 P 1.64
O 0.7156 0.5723 0.2335  1 P 1.50
O 0.7156 0.4277 0.7665  1 P 1.50

Calculated values
Space-group type: P4/nbm, No. 125
M_tot, Bohr magnetons per cell: 0.0
Energy of formation, meV per atom: -2537
Energy relative to the lowest polymorph listed for this composition, meV/atom: 24


[2]
LiSnP2O7 | PBE | relaxed

a = 8.7938 Å, b = 7.3035 Å, c = 9.2254 Å
α = 67.15°, β = 90.00°, γ = 90.00°
Last column: nearest neighbours and their distance in Å.
Fractional positions:
Li 0.9517 0.2878 0.8269  2 O 1.94-2.10
Li 0.4517 0.7122 0.6731  2 O 1.94-2.10
Li 0.5483 0.2878 0.3269  2 O 1.94-2.10
Li 0.0483 0.7122 0.1731  2 O 1.94-2.10
Sn 0.5776 0.2510 0.8821  6 O 2.19-2.39
Sn 0.0776 0.7490 0.6179  6 O 2.19-2.39
Sn 0.9224 0.2510 0.3821  6 O 2.19-2.39
Sn 0.4224 0.7490 0.1179  6 O 2.19-2.39
P 0.7256 0.5357 0.5298  4 O 1.53-1.61
P 0.2256 0.4643 0.9702  4 O 1.53-1.61
P 0.7401 0.9332 0.2479  4 O 1.49-1.62
P 0.2401 0.0668 0.2521  4 O 1.49-1.62
P 0.7599 0.9332 0.7479  4 O 1.49-1.62
P 0.2599 0.0668 0.7521  4 O 1.49-1.62
P 0.7744 0.5357 0.0298  4 O 1.53-1.61
P 0.2744 0.4643 0.4702  4 O 1.53-1.61
O 0.5927 0.4936 0.6481  1 P 1.55
O 0.8805 0.5407 0.6038  1 P 1.53
O 0.7752 0.3880 0.9467  1 P 1.55
O 0.2752 0.6120 0.5533  1 P 1.55
O 0.3805 0.4593 0.8962  1 P 1.53
O 0.6772 0.7496 0.4015  2 P 1.61-1.62
O 0.0927 0.5064 0.8519  1 P 1.55
O 0.2401 0.8865 0.2029  1 P 1.55
O 0.8871 0.8809 0.1943  1 P 1.49
O 0.6029 0.9707 0.1259  1 P 1.60
O 0.8228 0.7496 0.9015  2 P 1.61-1.62
O 0.1029 0.0293 0.3741  1 P 1.60
O 0.2599 0.8865 0.7029  1 P 1.55
O 0.6129 0.8809 0.6943  1 P 1.49
O 0.3871 0.1191 0.3057  1 P 1.49
O 0.7401 0.1135 0.2971  1 P 1.55
O 0.8971 0.9707 0.6259  1 P 1.60
O 0.1772 0.2504 0.0985  2 P 1.61-1.62
O 0.3971 0.0293 0.8741  1 P 1.60
O 0.1129 0.1191 0.8057  1 P 1.49
O 0.7599 0.1135 0.7971  1 P 1.55
O 0.9073 0.4936 0.1481  1 P 1.55
O 0.3228 0.2504 0.5985  2 P 1.61-1.62
O 0.6195 0.5407 0.1038  1 P 1.53
O 0.7248 0.3880 0.4467  1 P 1.55
O 0.2248 0.6120 0.0533  1 P 1.55
O 0.1195 0.4593 0.3962  1 P 1.53
O 0.4073 0.5064 0.3519  1 P 1.55

Calculated values
Space-group type: P2_1/c, No. 14
M_tot, Bohr magnetons per cell: 0.0
Energy of formation, meV per atom: -2459
Energy relative to the lowest polymorph listed for this composition, meV/atom: 45


[3]
LiSnPO4 | PBE | relaxed

a = 5.5737 Å, b = 7.1074 Å, c = 10.0707 Å
α = 73.41°, β = 79.44°, γ = 77.98°
Last column: nearest neighbours and their distance in Å.
Fractional positions:
Li 0.6824 0.3166 0.8961  3 O 1.94-2.16
Li 0.1166 0.5047 0.7441  1 O 1.90
Li 0.8834 0.4953 0.2559  1 O 1.90
Li 0.3176 0.6834 0.1039  3 O 1.94-2.16
Sn 0.3024 0.9378 0.7864  3 O 2.19-2.36
Sn 0.7447 0.2094 0.5878  3 O 2.24-2.41
Sn 0.2553 0.7906 0.4122  3 O 2.24-2.41
Sn 0.6976 0.0622 0.2136  3 O 2.19-2.36
P 0.7964 0.8049 0.9490  4 O 1.53-1.59
P 0.7122 0.6440 0.5803  4 O 1.55-1.57
P 0.2878 0.3560 0.4197  4 O 1.55-1.57
P 0.2036 0.1951 0.0510  4 O 1.53-1.59
O 0.5737 0.7266 0.9136  1 P 1.59
O 0.0444 0.7239 0.8616  1 P 1.59
O 0.1870 0.2777 0.8947  1 P 1.53
O 0.7605 0.0351 0.9017  1 P 1.55
O 0.9024 0.7850 0.5592  1 P 1.55
O 0.4440 0.7547 0.6168  1 P 1.57
O 0.7734 0.4546 0.7016  1 P 1.56
O 0.2835 0.4268 0.5525  1 P 1.55
O 0.7165 0.5732 0.4475  1 P 1.55
O 0.2266 0.5454 0.2984  1 P 1.56
O 0.5560 0.2453 0.3832  1 P 1.57
O 0.0976 0.2150 0.4408  1 P 1.55
O 0.2395 0.9649 0.0983  1 P 1.55
O 0.8130 0.7223 0.1053  1 P 1.53
O 0.9556 0.2761 0.1384  1 P 1.59
O 0.4263 0.2734 0.0864  1 P 1.59

Calculated values
Space-group type: P-1, No. 2
M_tot, Bohr magnetons per cell: 0.0
Energy of formation, meV per atom: -2393


[4]
Li2Sn3P4O14 | PBE | relaxed

a = 8.2006 Å, b = 8.0033 Å, c = 11.1999 Å
α = 71.02°, β = 90.00°, γ = 90.00°
Last column: nearest neighbours and their distance in Å.
Fractional positions:
Li 0.4344 0.7061 0.8214  2 O 1.93-1.94
Li 0.0656 0.7061 0.3214  2 O 1.93-1.94
Li 0.9344 0.2939 0.6786  2 O 1.93-1.94
Li 0.5656 0.2939 0.1786  2 O 1.93-1.94
Sn 0.0000 0.0000 0.5000  6 O 2.43-2.59
Sn 0.3775 0.7879 0.5040  2 O 2.22-2.28
Sn 0.5000 0.0000 0.0000  6 O 2.43-2.59
Sn 0.1225 0.7879 0.0040  2 O 2.22-2.28
Sn 0.8775 0.2121 0.9960  2 O 2.22-2.28
Sn 0.6225 0.2121 0.4960  2 O 2.22-2.28
P 0.7925 0.8635 0.8095  4 O 1.53-1.63
P 0.7075 0.8635 0.3095  4 O 1.53-1.63
P 0.0417 0.6046 0.7742  4 O 1.53-1.64
P 0.5417 0.3954 0.7258  4 O 1.53-1.64
P 0.4583 0.6046 0.2742  4 O 1.53-1.64
P 0.9583 0.3954 0.2258  4 O 1.53-1.64
P 0.2925 0.1365 0.6905  4 O 1.53-1.63
P 0.2075 0.1365 0.1905  4 O 1.53-1.63
O 0.2999 0.0065 0.8261  1 P 1.54
O 0.9044 0.9254 0.8994  1 P 1.56
O 0.6204 0.8245 0.8631  1 P 1.53
O 0.2001 0.0065 0.3261  1 P 1.54
O 0.5956 0.9254 0.3994  1 P 1.56
O 0.8665 0.6747 0.8104  2 P 1.63-1.64
O 0.1695 0.6350 0.8679  1 P 1.56
O 0.8796 0.8245 0.3631  1 P 1.53
O 0.0818 0.7088 0.6368  1 P 1.53
O 0.5091 0.5913 0.7030  1 P 1.53
O 0.6335 0.6747 0.3104  2 P 1.63-1.64
O 0.3305 0.6350 0.3679  1 P 1.56
O 0.4182 0.7088 0.1368  1 P 1.53
O 0.0091 0.4087 0.7970  1 P 1.53
O 0.9909 0.5913 0.2030  1 P 1.53
O 0.5818 0.2912 0.8632  1 P 1.53
O 0.6695 0.3650 0.6321  1 P 1.56
O 0.3665 0.3253 0.6896  2 P 1.63-1.64
O 0.4909 0.4087 0.2970  1 P 1.53
O 0.9182 0.2912 0.3632  1 P 1.53
O 0.1204 0.1755 0.6369  1 P 1.53
O 0.8305 0.3650 0.1321  1 P 1.56
O 0.1335 0.3253 0.1896  2 P 1.63-1.64
O 0.4044 0.0746 0.6006  1 P 1.56
O 0.7999 0.9935 0.6739  1 P 1.54
O 0.3796 0.1755 0.1369  1 P 1.53
O 0.0956 0.0746 0.1006  1 P 1.56
O 0.7001 0.9935 0.1739  1 P 1.54

Calculated values
Space-group type: P2_1/c, No. 14
M_tot, Bohr magnetons per cell: 0.0
Energy of formation, meV per atom: -2401
Energy relative to the lowest polymorph listed for this composition, meV/atom: 29